## RbAuF3 (PBE)

Data for a relaxed structure of RbAuF3.

Cell and atoms, written as POSCAR:
```
RbAuF3
1.0
4.514 0.000 0.000
0.000 4.514 0.000
0.000 0.000 4.514
Rb Au F
1 1 3
direct
0.000 0.000 0.000 Rb
0.500 0.500 0.500 Au
0.000 0.500 0.500 F
0.500 0.000 0.500 F
0.500 0.500 0.000 F
```

energy of formation from the pure elements	-1.91	eV/atom
total magnetization	0.00	μB per formula unit